Entry 1:
Material: DyInNi
Method: DFT, PBE
State: relaxed

Cell lengths 7.515, 7.515, 3.726 Å; angles 90.00, 90.00, 120.00 degrees
Fractional coordinates of all 9 atoms:
Dy  0.409  0.409  0.500
Dy  0.591  0.000  0.500
Dy  0.000  0.591  0.500
In  0.744  0.744  0.000
In  0.000  0.256  0.000
In  0.256  0.000  0.000
Ni  0.667  0.333  0.000
Ni  0.333  0.667  0.000
Ni  0.000  0.000  0.500

Calculated values
Formation energy from the elements, meV/atom: -501
E_tot, eV/atom: -4.880
SG: P-62m
ρ, g/cm3: 9.18



Entry 2:
Material: Dy5In4Ni2
Method: DFT, PBE
State: relaxed

Cell lengths 3.615, 7.952, 17.933 Å; angles 90.00, 90.00, 90.00 degrees
Fractional coordinates of all 22 atoms:
Dy  0.500  0.383  0.586
Dy  0.500  0.883  0.914
Dy  0.500  0.117  0.086
Dy  0.500  0.755  0.721
Dy  0.500  0.255  0.779
Dy  0.500  0.500  0.000
Dy  0.500  0.745  0.221
Dy  0.500  0.245  0.279
Dy  0.500  0.000  0.500
Dy  0.500  0.617  0.414
In  0.000  0.793  0.070
In  0.000  0.926  0.348
In  0.000  0.074  0.652
In  0.000  0.574  0.848
In  0.000  0.707  0.570
In  0.000  0.207  0.930
In  0.000  0.293  0.430
In  0.000  0.426  0.152
Ni  0.000  0.974  0.804
Ni  0.000  0.526  0.304
Ni  0.000  0.474  0.696
Ni  0.000  0.026  0.196

Calculated values
Formation energy from the elements, meV/atom: -521
E_tot, eV/atom: -4.666
SG: Pbam
ρ, g/cm3: 8.95



Entry 3:
Material: Dy2InNi2
Method: DFT, PBE
State: relaxed

Cell lengths 3.626, 3.956, 7.398 Å; angles 74.49, 90.00, 90.00 degrees
Fractional coordinates of all 5 atoms:
Dy  0.500  0.361  0.278
Dy  0.500  0.639  0.722
In  0.000  0.000  0.000
Ni  0.000  0.199  0.601
Ni  0.000  0.801  0.399

Calculated values
Formation energy from the elements, meV/atom: -530
E_tot, eV/atom: -5.235
SG: Cmmm
ρ, g/cm3: 9.05